(1)
This record from the Materials Project database describes crystalline K4Co7O14 at its relaxed geometry. The functional is GGA+U.

Unit cell a=7.8453 b=7.8453 c=12.6992 alpha=90.00 beta=90.00 gamma=120.00
Atoms (fractional coordinates):
K 0.4206 0.9722 0.7500
K 0.0278 0.4484 0.7500
K 0.5794 0.0278 0.2500
K 0.5516 0.5794 0.7500
K 0.4484 0.4206 0.2500
K 0.0000 0.0000 0.7500
K 0.9722 0.5516 0.2500
K 0.0000 0.0000 0.2500
Co 0.2835 0.4293 0.5059
Co 0.7165 0.5707 0.0059
Co 0.5707 0.8542 0.5059
Co 0.1458 0.7165 0.5059
Co 0.4293 0.1458 0.0059
Co 0.8542 0.2835 0.4941
Co 0.1458 0.7165 0.9941
Co 0.0000 0.0000 0.0000
Co 0.5707 0.8542 0.9941
Co 0.7165 0.5707 0.4941
Co 0.2835 0.4293 0.9941
Co 0.8542 0.2835 0.0059
Co 0.0000 0.0000 0.5000
Co 0.4293 0.1458 0.4941
O 0.6667 0.3333 0.0953
O 0.3699 0.9011 0.0763
O 0.6301 0.0989 0.9237
O 0.3333 0.6667 0.9047
O 0.9011 0.5312 0.5763
O 0.6667 0.3333 0.4047
O 0.0429 0.2199 0.9186
O 0.3699 0.9011 0.4237
O 0.5312 0.6301 0.4237
O 0.7801 0.8229 0.9186
O 0.1771 0.9571 0.9186
O 0.2199 0.1771 0.0814
O 0.4688 0.3699 0.5763
O 0.4688 0.3699 0.9237
O 0.0989 0.4688 0.4237
O 0.5312 0.6301 0.0763
O 0.2199 0.1771 0.4186
O 0.1771 0.9571 0.5814
O 0.8229 0.0429 0.0814
O 0.7801 0.8229 0.5814
O 0.0989 0.4688 0.0763
O 0.9571 0.7801 0.4186
O 0.9571 0.7801 0.0814
O 0.0429 0.2199 0.5814
O 0.8229 0.0429 0.4186
O 0.6301 0.0989 0.5763
O 0.3333 0.6667 0.5953
O 0.9011 0.5312 0.9237

Formation energy from the elements   -1.3416 eV per atom

***

(2)
This record from the Materials Project database describes crystalline FeC2O6 at its relaxed geometry. The functional is GGA+U.

Unit cell a=4.7851 b=22.6236 c=4.7866 alpha=83.99 beta=60.01 gamma=83.92
Atoms (fractional coordinates):
Fe 0.1250 0.6249 0.1247
Fe 0.3750 0.8746 0.3756
Fe 0.6248 0.1254 0.6248
Fe 0.8751 0.3751 0.8750
C 0.9410 0.1764 0.9414
C 0.1913 0.4262 0.1916
C 0.4413 0.6760 0.4413
C 0.6913 0.9259 0.6919
C 0.3086 0.0742 0.3083
C 0.5589 0.3240 0.5584
C 0.8089 0.5738 0.8082
C 0.0589 0.8235 0.0589
O 0.5563 0.0737 0.3471
O 0.8067 0.3235 0.5971
O 0.0565 0.5733 0.8471
O 0.3068 0.8231 0.0974
O 0.9022 0.1769 0.2273
O 0.1526 0.4267 0.4774
O 0.4026 0.6765 0.7271
O 0.6524 0.9263 0.9778
O 0.2269 0.1769 0.6938
O 0.4772 0.4266 0.9439
O 0.7271 0.6765 0.1937
O 0.9771 0.9263 0.4444
O 0.0227 0.0737 0.5558
O 0.2730 0.3235 0.8062
O 0.5229 0.5733 0.0558
O 0.7731 0.8231 0.3066
O 0.3474 0.0737 0.0225
O 0.5975 0.3235 0.2726
O 0.8477 0.5733 0.5223
O 0.0974 0.8231 0.7731
O 0.6933 0.1770 0.9026
O 0.9435 0.4267 0.1528
O 0.1935 0.6765 0.4026
O 0.4435 0.9263 0.6531

Energy above the most stable polymorph in this dataset   0 meV/atom
Formation energy from the elements   -1.5846 eV per atom

***

(3)
This record from the Materials Project database describes crystalline Ba2CoReO6 at its relaxed geometry. The functional is GGA+U.

Unit cell a=8.1897 b=10.0330 c=8.1953 alpha=114.05 beta=89.95 gamma=65.94
Atoms (fractional coordinates):
Ba 0.3754 0.7496 0.1250
Ba 0.8756 0.7496 0.6252
Ba 0.6254 0.2497 0.3753
Ba 0.1255 0.2497 0.8751
Ba 0.1246 0.2504 0.3750
Ba 0.6244 0.2504 0.8748
Ba 0.3745 0.7503 0.6249
Ba 0.8747 0.7503 0.1247
Co 0.9999 0.0003 0.0001
Co 0.2499 0.5002 0.2501
Co 0.4998 0.0003 0.5001
Co 0.7500 0.5001 0.7500
Re 0.2501 0.4998 0.7499
Re 0.7501 0.4999 0.2499
Re 0.5000 0.0000 0.0001
Re 0.0000 0.9999 0.5000
O 0.0119 0.4997 0.7502
O 0.5123 0.4997 0.2502
O 0.2630 0.9996 0.0001
O 0.7629 0.9995 0.5001
O 0.3685 0.2623 0.6306
O 0.8684 0.2625 0.1308
O 0.6182 0.7627 0.8811
O 0.1183 0.7625 0.3810
O 0.2506 0.4995 0.5126
O 0.7506 0.4996 0.0129
O 0.5005 0.9997 0.7624
O 0.0005 0.9997 0.2624
O 0.1313 0.7375 0.8693
O 0.6315 0.7374 0.3691
O 0.3818 0.2374 0.1189
O 0.8819 0.2373 0.6188
O 0.2495 0.5006 0.9874
O 0.7495 0.5004 0.4871
O 0.4995 0.0003 0.2377
O 0.9996 0.0003 0.7376
O 0.4882 0.5002 0.7498
O 0.9877 0.5002 0.2498
O 0.7369 0.0005 0.0000
O 0.2370 0.0005 0.5000

Formation energy from the elements   -2.4507 eV per atom

***

(4)
This record from the Materials Project database describes crystalline MgMn6O6F6 at its relaxed geometry. The functional is GGA+U.

Unit cell a=5.3001 b=14.5266 c=3.0509 alpha=89.91 beta=90.11 gamma=91.13
Atoms (fractional coordinates):
Mg 0.1085 0.1591 0.5150
Mn 0.9318 0.9721 0.0143
Mn 0.0692 0.3569 0.0106
Mn 0.9385 0.6660 0.0060
Mn 0.6362 0.1844 0.5120
Mn 0.5093 0.5124 0.5063
Mn 0.3711 0.8186 0.5113
O 0.0955 0.9149 0.5150
O 0.2208 0.7541 0.0081
O 0.3495 0.4484 0.0067
O 0.8951 0.2224 0.0129
O 0.6674 0.5765 0.0065
O 0.8452 0.0572 0.5139
F 0.3210 0.2731 0.5144
F 0.1207 0.6007 0.5013
F 0.3446 0.1201 0.0160
F 0.5709 0.8884 0.0160
F 0.8375 0.4009 0.5094
F 0.7505 0.7358 0.5125

Energy above the most stable polymorph in this dataset   37 meV/atom
Formation energy from the elements   -2.4236 eV per atom

***

(5)
This record from the Materials Project database describes crystalline Li8Mn5Fe3B8O24 at its relaxed geometry. The functional is GGA+U.

Unit cell a=5.2405 b=5.2503 c=20.9371 alpha=90.91 beta=90.63 gamma=119.77
Atoms (fractional coordinates):
Li 0.3497 0.3251 0.6665
Li 0.3213 0.3470 0.9157
Li 0.3491 0.3209 0.1660
Li 0.3221 0.3492 0.4165
Li 0.6663 0.6557 0.7904
Li 0.6511 0.6635 0.5419
Li 0.6622 0.6515 0.2913
Li 0.6519 0.6621 0.0409
Mn 0.9966 0.3296 0.0580
Mn 0.9995 0.6794 0.9323
Mn 0.9980 0.6740 0.4347
Mn 0.6774 0.9965 0.1834
Mn 0.3287 0.9961 0.3087
Fe 0.9954 0.3216 0.5598
Fe 0.6762 0.0102 0.6831
Fe 0.3259 0.9977 0.8077
B 0.6586 0.0036 0.9361
B 0.6597 0.0026 0.4382
B 0.9955 0.3304 0.8109
B 0.9958 0.3342 0.3124
B 0.0018 0.6623 0.6869
B 0.0018 0.6579 0.1873
B 0.3292 0.9914 0.5626
B 0.3345 0.9951 0.0620
O 0.7476 0.0698 0.7919
O 0.7535 0.0706 0.2911
O 0.9295 0.2542 0.9515
O 0.4219 0.0334 0.9155
O 0.9296 0.2523 0.4538
O 0.4219 0.0322 0.4172
O 0.9761 0.5826 0.8254
O 0.3456 0.2647 0.5689
O 0.9620 0.5775 0.3278
O 0.3588 0.2691 0.0692
O 0.2682 0.3473 0.8173
O 0.2690 0.3584 0.3198
O 0.7323 0.6437 0.6931
O 0.7268 0.6281 0.1946
O 0.6295 0.7278 0.9436
O 0.0245 0.4158 0.6678
O 0.6305 0.7269 0.4453
O 0.0333 0.4206 0.1664
O 0.5802 0.9716 0.5771
O 0.5778 0.9621 0.0773
O 0.0686 0.7432 0.5435
O 0.0708 0.7534 0.0408
O 0.2601 0.9272 0.7015
O 0.2525 0.9288 0.2023

Energy above the most stable polymorph in this dataset   10 meV/atom
Formation energy from the elements   -2.4320 eV per atom

***

(6)
This record from the Materials Project database describes crystalline Mn3V2Cr3O16 at its relaxed geometry. The functional is GGA+U.

Unit cell a=5.8730 b=5.8752 c=8.8345 alpha=89.99 beta=90.48 gamma=119.67
Atoms (fractional coordinates):
Mn 0.3438 0.1721 0.2095
Mn 0.1717 0.3402 0.7130
Mn 0.1718 0.8319 0.7128
V 0.6674 0.3350 0.5021
V 0.3374 0.6698 0.0011
Cr 0.8361 0.1770 0.2196
Cr 0.8307 0.6606 0.2089
Cr 0.6621 0.8312 0.7125
O 0.8261 0.1761 0.5964
O 0.9488 0.4677 0.3436
O 0.6631 0.3218 0.1004
O 0.0044 0.0104 0.3037
O 0.0106 0.0055 0.8123
O 0.8266 0.6501 0.5950
O 0.5213 0.0469 0.3393
O 0.5187 0.4689 0.3391
O 0.6492 0.8277 0.0944
O 0.3474 0.1730 0.5969
O 0.4701 0.5183 0.8413
O 0.4692 0.9512 0.8411
O 0.3237 0.6615 0.6019
O 0.1764 0.3529 0.0971
O 0.0458 0.5237 0.8371
O 0.1775 0.8263 0.0966

Formation energy from the elements   -2.0308 eV per atom

***

(7)
This record from the Materials Project database describes crystalline KLaZrCrO6 at its relaxed geometry. The functional is GGA+U.

Unit cell a=5.6939 b=5.6939 c=5.6939 alpha=60.00 beta=60.00 gamma=60.00
Atoms (fractional coordinates):
K 0.2500 0.2500 0.2500
La 0.7500 0.7500 0.7500
Zr 0.5000 0.5000 0.5000
Cr 0.0000 0.0000 0.0000
O 0.7589 0.2411 0.2411
O 0.2411 0.7589 0.7589
O 0.7589 0.2411 0.7589
O 0.2411 0.7589 0.2411
O 0.7589 0.7589 0.2411
O 0.2411 0.2411 0.7589

Formation energy from the elements   -2.9321 eV per atom

***

(8)
This record from the Materials Project database describes crystalline MgFe4As2O11 at its relaxed geometry. The functional is GGA+U.

Unit cell a=5.3738 b=6.4728 c=7.7751 alpha=107.06 beta=114.51 gamma=95.08
Atoms (fractional coordinates):
Mg 0.9582 0.0489 0.2629
Fe 0.0877 0.7362 0.9489
Fe 0.9254 0.2486 0.9107
Fe 0.6393 0.6221 0.2852
Fe 0.3722 0.3875 0.7744
As 0.3483 0.8149 0.6074
As 0.6197 0.1905 0.4213
O 0.7689 0.5109 0.9351
O 0.2886 0.4670 0.0078
O 0.0130 0.0347 0.0296
O 0.9164 0.2051 0.6401
O 0.0567 0.8064 0.3935
O 0.3484 0.2577 0.4716
O 0.2509 0.6640 0.7307
O 0.7670 0.3372 0.3215
O 0.4818 0.0912 0.7789
O 0.5528 0.9280 0.2430
O 0.6046 0.7219 0.5572

Energy above the most stable polymorph in this dataset   0 meV/atom
Formation energy from the elements   -1.7576 eV per atom

***

(9)
This record from the Materials Project database describes crystalline Rb2CoH8C2O10 at its relaxed geometry. The functional is GGA+U.

Unit cell a=6.4836 b=7.1792 c=12.4399 alpha=64.75 beta=90.00 gamma=90.00
Atoms (fractional coordinates):
Rb 0.6540 0.2463 0.6767
Rb 0.1540 0.7537 0.8233
Rb 0.3460 0.7537 0.3233
Rb 0.8460 0.2463 0.1767
Co 0.5000 0.0000 0.0000
Co 0.0000 0.0000 0.5000
H 0.6619 0.8003 0.8701
H 0.1619 0.1997 0.6299
H 0.3381 0.1997 0.1299
H 0.8381 0.8003 0.3701
H 0.7984 0.8007 0.9830
H 0.2984 0.1993 0.5170
H 0.2016 0.1993 0.0170
H 0.7016 0.8007 0.4830
H 0.8248 0.2895 0.9158
H 0.8803 0.4247 0.3814
H 0.1752 0.7105 0.0842
H 0.6752 0.2895 0.4158
H 0.6197 0.4247 0.8814
H 0.1197 0.5753 0.6186
H 0.3803 0.5753 0.1186
H 0.3248 0.7105 0.5841
C 0.6582 0.7511 0.6798
C 0.1582 0.2489 0.8202
C 0.8418 0.7511 0.1798
C 0.3418 0.2489 0.3202
O 0.8260 0.2860 0.4357
O 0.3260 0.7140 0.0643
O 0.1740 0.7140 0.5643
O 0.6740 0.2860 0.9357
O 0.7887 0.8879 0.4104
O 0.2887 0.1121 0.0896
O 0.6899 0.8812 0.1507
O 0.1899 0.1188 0.3493
O 0.3101 0.1188 0.8493
O 0.8101 0.8812 0.6507
O 0.9181 0.6812 0.2867
O 0.4181 0.3188 0.2133
O 0.0819 0.3188 0.7133
O 0.2113 0.1121 0.5896
O 0.9193 0.6902 0.1032
O 0.4193 0.3098 0.3968
O 0.0807 0.3098 0.8968
O 0.5807 0.6902 0.6032
O 0.7113 0.8879 0.9104
O 0.5819 0.6812 0.7867

Formation energy from the elements   -1.5615 eV per atom

***

(10)
This record from the Materials Project database describes crystalline Li3Cr2P3O12 at its relaxed geometry. The functional is GGA+U.

Unit cell a=4.8539 b=4.8539 c=18.7424 alpha=89.64 beta=89.64 gamma=66.41
Atoms (fractional coordinates):
Li 0.0001 0.0001 0.3330
Li 0.9999 0.9999 0.6670
Li 0.6753 0.6753 0.5893
Li 0.6731 0.6731 0.2546
Li 0.3269 0.3269 0.7454
Li 0.3247 0.3247 0.4107
Cr 0.9975 0.9975 0.1645
Cr 0.0000 0.0000 0.5000
Cr 0.0000 0.0000 0.0000
Cr 0.0025 0.0025 0.8355
P 0.3450 0.3450 0.2436
P 0.3503 0.3503 0.5792
P 0.6497 0.6497 0.4208
P 0.6523 0.6523 0.0826
P 0.3477 0.3477 0.9174
P 0.6550 0.6550 0.7564
O 0.2516 0.2516 0.3137
O 0.7658 0.2959 0.4236
O 0.7064 0.2221 0.9186
O 0.7779 0.2936 0.0814
O 0.2221 0.7064 0.9186
O 0.2936 0.7779 0.0814
O 0.2959 0.7658 0.4236
O 0.2342 0.7041 0.5764
O 0.2301 0.7001 0.2396
O 0.2999 0.7699 0.7604
O 0.2313 0.2313 0.1788
O 0.7699 0.2999 0.7604
O 0.2408 0.2408 0.5119
O 0.2492 0.2492 0.8477
O 0.2372 0.2372 0.9830
O 0.2500 0.2500 0.6473
O 0.7500 0.7500 0.3527
O 0.7484 0.7484 0.6863
O 0.7508 0.7508 0.1523
O 0.7628 0.7628 0.0170
O 0.7592 0.7592 0.4881
O 0.7687 0.7687 0.8212
O 0.7001 0.2301 0.2396
O 0.7041 0.2342 0.5764

Energy above the most stable polymorph in this dataset   44 meV/atom
Formation energy from the elements   -2.6243 eV per atom